DFT (PBE with a Hubbard U) results for crystalline LiNbCo3P6O24 at its relaxed geometry.

Lattice parameters (Å, degrees): 8.858 8.858 8.858 59.03 59.03 59.03
Positions (direct):
Li (0.000, 0.000, 0.000)
Nb (0.164, 0.164, 0.164)
Co (0.379, 0.379, 0.379)
Co (0.663, 0.663, 0.663)
Co (0.874, 0.874, 0.874)
P (0.054, 0.768, 0.489)
P (0.269, 0.567, 0.986)
P (0.489, 0.054, 0.768)
P (0.567, 0.986, 0.269)
P (0.768, 0.489, 0.054)
P (0.986, 0.269, 0.567)
O (0.025, 0.222, 0.399)
O (0.028, 0.812, 0.648)
O (0.087, 0.937, 0.302)
O (0.103, 0.751, 0.957)
O (0.156, 0.302, 0.534)
O (0.222, 0.399, 0.025)
O (0.228, 0.593, 0.468)
O (0.302, 0.087, 0.937)
O (0.302, 0.534, 0.156)
O (0.399, 0.025, 0.222)
O (0.445, 0.575, 0.811)
O (0.468, 0.228, 0.593)
O (0.510, 0.884, 0.743)
O (0.534, 0.156, 0.302)
O (0.575, 0.811, 0.445)
O (0.593, 0.468, 0.228)
O (0.648, 0.028, 0.812)
O (0.743, 0.510, 0.884)
O (0.751, 0.957, 0.103)
O (0.811, 0.445, 0.575)
O (0.812, 0.648, 0.028)
O (0.884, 0.743, 0.510)
O (0.937, 0.302, 0.087)
O (0.957, 0.103, 0.751)

Output
As for the symmetry: R3, No. 146. The calculated formation energy comes out at -2.206 eV/atom. The calculation puts the corrected total energy (MP2020 scheme) at -7.48 eV/atom. The value obtained for the total magnetic moment is 1.01 μB per cell. For the total energy, the calculation gives -240.4 eV for the cell shown.


DFT (PBE with a Hubbard U) results for crystalline NaFeTe2O6 at its relaxed geometry.

Lattice parameters (Å, degrees): 7.922 13.684 10.610 90.00 90.00 90.00
Positions (direct):
Na (0.168, 0.140, 0.241)
Na (0.168, 0.360, 0.741)
Na (0.332, 0.640, 0.241)
Na (0.332, 0.860, 0.741)
Na (0.668, 0.140, 0.259)
Na (0.668, 0.360, 0.759)
Na (0.832, 0.640, 0.259)
Na (0.832, 0.860, 0.759)
Fe (0.195, 0.020, 0.500)
Fe (0.195, 0.480, 0.000)
Fe (0.305, 0.520, 0.500)
Fe (0.305, 0.980, 0.000)
Fe (0.695, 0.020, 0.000)
Fe (0.695, 0.480, 0.500)
Fe (0.805, 0.520, 0.000)
Fe (0.805, 0.980, 0.500)
Te (0.049, 0.076, 0.786)
Te (0.049, 0.424, 0.286)
Te (0.081, 0.733, 0.991)
Te (0.081, 0.767, 0.491)
Te (0.419, 0.233, 0.991)
Te (0.419, 0.267, 0.491)
Te (0.451, 0.576, 0.786)
Te (0.451, 0.924, 0.286)
Te (0.549, 0.076, 0.714)
Te (0.549, 0.424, 0.214)
Te (0.581, 0.733, 0.509)
Te (0.581, 0.767, 0.009)
Te (0.919, 0.233, 0.509)
Te (0.919, 0.267, 0.009)
Te (0.951, 0.576, 0.714)
Te (0.951, 0.924, 0.214)
O (0.001, 0.511, 0.871)
O (0.001, 0.989, 0.371)
O (0.064, 0.732, 0.814)
O (0.064, 0.768, 0.314)
O (0.126, 0.164, 0.468)
O (0.126, 0.336, 0.968)
O (0.130, 0.540, 0.370)
O (0.130, 0.960, 0.870)
O (0.180, 0.553, 0.658)
O (0.180, 0.947, 0.158)
O (0.238, 0.628, 0.019)
O (0.238, 0.872, 0.519)
O (0.262, 0.128, 0.019)
O (0.262, 0.372, 0.519)
O (0.320, 0.053, 0.658)
O (0.320, 0.447, 0.158)
O (0.370, 0.040, 0.370)
O (0.370, 0.460, 0.870)
O (0.374, 0.664, 0.468)
O (0.374, 0.836, 0.968)
O (0.436, 0.232, 0.814)
O (0.436, 0.268, 0.314)
O (0.499, 0.011, 0.871)
O (0.499, 0.489, 0.371)
O (0.501, 0.511, 0.629)
O (0.501, 0.989, 0.129)
O (0.564, 0.732, 0.686)
O (0.564, 0.768, 0.186)
O (0.626, 0.164, 0.032)
O (0.626, 0.336, 0.532)
O (0.630, 0.540, 0.130)
O (0.630, 0.960, 0.630)
O (0.680, 0.553, 0.842)
O (0.680, 0.947, 0.342)
O (0.738, 0.628, 0.481)
O (0.738, 0.872, 0.981)
O (0.762, 0.128, 0.481)
O (0.762, 0.372, 0.981)
O (0.820, 0.053, 0.842)
O (0.820, 0.447, 0.342)
O (0.870, 0.040, 0.130)
O (0.870, 0.460, 0.630)
O (0.874, 0.664, 0.032)
O (0.874, 0.836, 0.532)
O (0.936, 0.232, 0.686)
O (0.936, 0.268, 0.186)
O (0.999, 0.011, 0.629)
O (0.999, 0.489, 0.129)

Output
As for the symmetry: Pbca, No. 61. The calculated formation energy comes out at -1.674 eV/atom. The calculation puts the corrected total energy (MP2020 scheme) at -6.25 eV/atom. The value obtained for the total magnetic moment is 40.01 μB per cell. For the total energy, the calculation gives -449.1 eV for the cell shown.


DFT (PBE with a Hubbard U) results for crystalline Li2CoSnP2O8 at its relaxed geometry.

Lattice parameters (Å, degrees): 6.316 9.688 12.145 67.47 89.74 89.33
Positions (direct):
Li (0.000, 0.000, 0.000)
Li (0.000, 0.001, 0.500)
Li (0.000, 0.502, 0.500)
Li (0.499, 0.004, 0.998)
Li (0.500, 0.001, 0.500)
Li (0.500, 0.499, 0.000)
Li (0.501, 0.502, 0.499)
Li (0.995, 0.494, 0.005)
Co (0.251, 0.681, 0.707)
Co (0.252, 0.181, 0.707)
Co (0.749, 0.322, 0.293)
Co (0.750, 0.827, 0.291)
Sn (0.247, 0.630, 0.224)
Sn (0.248, 0.129, 0.225)
Sn (0.753, 0.374, 0.776)
Sn (0.753, 0.873, 0.776)
P (0.249, 0.890, 0.878)
P (0.250, 0.248, 0.425)
P (0.251, 0.747, 0.425)
P (0.252, 0.389, 0.879)
P (0.750, 0.255, 0.575)
P (0.750, 0.614, 0.121)
P (0.751, 0.114, 0.121)
P (0.752, 0.755, 0.574)
O (0.050, 0.212, 0.364)
O (0.051, 0.709, 0.364)
O (0.052, 0.996, 0.824)
O (0.055, 0.492, 0.821)
O (0.243, 0.743, 0.858)
O (0.248, 0.411, 0.416)
O (0.248, 0.911, 0.415)
O (0.252, 0.241, 0.860)
O (0.255, 0.368, 0.013)
O (0.256, 0.128, 0.554)
O (0.256, 0.629, 0.555)
O (0.260, 0.869, 0.011)
O (0.443, 0.990, 0.814)
O (0.446, 0.491, 0.819)
O (0.448, 0.212, 0.360)
O (0.448, 0.710, 0.360)
O (0.552, 0.291, 0.640)
O (0.554, 0.790, 0.640)
O (0.557, 0.013, 0.184)
O (0.557, 0.513, 0.185)
O (0.741, 0.633, 0.988)
O (0.744, 0.133, 0.988)
O (0.745, 0.374, 0.446)
O (0.747, 0.876, 0.445)
O (0.752, 0.091, 0.584)
O (0.753, 0.592, 0.583)
O (0.754, 0.762, 0.140)
O (0.756, 0.262, 0.139)
O (0.947, 0.510, 0.177)
O (0.948, 0.010, 0.178)
O (0.951, 0.290, 0.636)
O (0.952, 0.791, 0.636)

Output
As for the symmetry: P1, No. 1. The calculated formation energy comes out at -2.359 eV/atom. The calculation puts the corrected total energy (MP2020 scheme) at -7.03 eV/atom. The value obtained for the total magnetic moment is 12.00 μB per cell. For the total energy, the calculation gives -364.9 eV for the cell shown.


DFT (PBE with a Hubbard U) results for crystalline Ba4PrMn3O12 at its relaxed geometry.

Lattice parameters (Å, degrees): 10.552 10.552 10.552 32.56 32.56 32.56
Positions (direct):
Ba (0.131, 0.131, 0.131)
Ba (0.278, 0.278, 0.278)
Ba (0.722, 0.722, 0.722)
Ba (0.869, 0.869, 0.869)
Pr (0.000, 0.000, 0.000)
Mn (0.414, 0.414, 0.414)
Mn (0.500, 0.500, 0.500)
Mn (0.586, 0.586, 0.586)
O (0.166, 0.606, 0.606)
O (0.227, 0.227, 0.690)
O (0.227, 0.690, 0.227)
O (0.310, 0.773, 0.773)
O (0.394, 0.394, 0.834)
O (0.394, 0.834, 0.394)
O (0.606, 0.166, 0.606)
O (0.606, 0.606, 0.166)
O (0.690, 0.227, 0.227)
O (0.773, 0.310, 0.773)
O (0.773, 0.773, 0.310)
O (0.834, 0.394, 0.394)

Output
As for the symmetry: R-3m, No. 166. The calculated formation energy comes out at -2.625 eV/atom. The calculation puts the corrected total energy (MP2020 scheme) at -7.59 eV/atom. The value obtained for the total magnetic moment is 10.00 μB per cell. For the total energy, the calculation gives -138.6 eV for the cell shown.


DFT (PBE with a Hubbard U) results for crystalline TiFeO4 at its relaxed geometry.

Lattice parameters (Å, degrees): 3.793 3.793 9.756 90.00 90.00 90.00
Positions (direct):
Ti (0.000, 0.500, 0.250)
Ti (0.500, 0.000, 0.750)
Fe (0.000, 0.000, 0.000)
Fe (0.500, 0.500, 0.500)
O (0.000, 0.000, 0.203)
O (0.000, 0.000, 0.797)
O (0.000, 0.500, 0.044)
O (0.000, 0.500, 0.456)
O (0.500, 0.000, 0.544)
O (0.500, 0.000, 0.956)
O (0.500, 0.500, 0.296)
O (0.500, 0.500, 0.704)

Output
As for the symmetry: P-4m2, No. 115. The calculated formation energy comes out at -2.358 eV/atom. The calculation puts the corrected total energy (MP2020 scheme) at -8.38 eV/atom. The value obtained for the total magnetic moment is 0.02 μB per cell. For the total energy, the calculation gives -90.6 eV for the cell shown.


DFT (PBE with a Hubbard U) results for crystalline Li3Fe9O5F11 at its relaxed geometry.

Lattice parameters (Å, degrees): 6.162 6.221 10.730 90.59 105.49 118.32
Positions (direct):
Li (0.000, 0.000, 0.000)
Li (0.005, 0.485, 0.001)
Li (0.033, 0.231, 0.231)
Fe (0.027, 0.515, 0.497)
Fe (0.028, 0.738, 0.742)
Fe (0.033, 0.000, 0.496)
Fe (0.395, 0.422, 0.782)
Fe (0.424, 0.926, 0.287)
Fe (0.526, 0.990, 0.006)
Fe (0.531, 0.497, 0.495)
Fe (0.617, 0.097, 0.683)
Fe (0.656, 0.609, 0.196)
O (0.250, 0.867, 0.624)
O (0.253, 0.362, 0.588)
O (0.771, 0.906, 0.118)
O (0.786, 0.649, 0.391)
O (0.788, 0.403, 0.621)
F (0.216, 0.844, 0.097)
F (0.247, 0.372, 0.115)
F (0.253, 0.597, 0.352)
F (0.265, 0.100, 0.878)
F (0.268, 0.620, 0.878)
F (0.292, 0.126, 0.364)
F (0.738, 0.357, 0.112)
F (0.780, 0.875, 0.629)
F (0.783, 0.146, 0.888)
F (0.785, 0.636, 0.868)
F (0.805, 0.148, 0.362)

Output
As for the symmetry: P1, No. 1. The calculated formation energy comes out at -2.224 eV/atom. The calculation puts the corrected total energy (MP2020 scheme) at -6.79 eV/atom. The value obtained for the total magnetic moment is 36.00 μB per cell. For the total energy, the calculation gives -161.2 eV for the cell shown.